Density functional theory data (meta-GGA r2SCAN) for LiY2Os after structural relaxation.

Properties
Its spin magnetization is 0.0 μB/cell. The total energy is -24.23 eV per atom. The formation energy from the elements is -21.8 kJ per mole of atoms.

abc: 6.9327 6.9327 6.9327
angles: 90.00 90.00 90.00
With the nearest neighbours (Å) after each atom.
Space group Fm-3m (No. 225)
Unique sites:
Li 0.0000 0.0000 0.0000 (multiplicity 4)  8 Y 3.00
Y 0.2500 0.2500 0.2500 (multiplicity 8)  4 Li 3.00, 4 Os 3.00
Os 0.0000 0.0000 0.5000 (multiplicity 4)  8 Y 3.00


Density functional theory data (meta-GGA r2SCAN) for FeSbSe after structural relaxation.

Properties
Its spin magnetization is 0.0 μB/cell. The total energy is -18.28 eV per atom. The formation energy from the elements is -13.4 kJ per mole of atoms.

abc: 6.2011 6.0930 6.2094
angles: 90.00 113.35 90.00
With the nearest neighbours (Å) after each atom.
Space group P2_1/c (No. 14)
Unique sites:
Fe 0.2096 0.0086 0.2022 (multiplicity 4)  3 Se 2.32-2.37, 3 Sb 2.55-2.59
Sb 0.3568 0.6379 0.1250 (multiplicity 4)  3 Fe 2.55-2.59, 1 Se 2.73
Se 0.1462 0.1383 0.8281 (multiplicity 4)  3 Fe 2.32-2.37


Density functional theory data (meta-GGA r2SCAN) for NbSe2 after structural relaxation.

Properties
Its spin magnetization is 4.6 μB/cell. The total energy is -18.74 eV per atom. The formation energy from the elements is -92.4 kJ per mole of atoms.

abc: 26.3985 3.5111 6.0801
angles: 90.00 90.00 90.00
With the nearest neighbours (Å) after each atom.
Space group Amm2 (No. 38)
Unique sites:
Nb 0.0000 0.0000 0.0000 (multiplicity 2)  6 Se 2.62
Nb 0.2472 0.0000 0.9988 (multiplicity 4)  6 Se 2.61-2.62
Nb 0.5000 0.0000 0.6660 (multiplicity 2)  6 Se 2.62-2.63
Se 0.0631 0.0000 0.3334 (multiplicity 4)  3 Nb 2.62
Se 0.1848 0.0000 0.6650 (multiplicity 4)  3 Nb 2.61
Se 0.3098 0.0000 0.3319 (multiplicity 4)  3 Nb 2.61-2.62
Se 0.4368 0.0000 0.9994 (multiplicity 4)  3 Nb 2.62-2.63


Density functional theory data (meta-GGA r2SCAN) for CuBi after structural relaxation.

Properties
Its spin magnetization is 0.0 μB/cell. The total energy is -34.52 eV per atom. The formation energy from the elements is 14.4 kJ per mole of atoms.

abc: 4.3758 4.3758 5.1353
angles: 90.00 90.00 120.00
With the nearest neighbours (Å) after each atom.
Space group P6_3/mmc (No. 194)
Unique sites:
Cu 0.0000 0.0000 0.0000 (multiplicity 2)  2 Cu 2.57, 6 Bi 2.83
Bi 0.3333 0.6667 0.2500 (multiplicity 2)  6 Cu 2.83


Density functional theory data (meta-GGA r2SCAN) for USnAu2 after structural relaxation.

Properties
Its spin magnetization is 11.0 μB/cell. The total energy is -51.84 eV per atom. The formation energy from the elements is -36.0 kJ per mole of atoms.

abc: 7.0725 7.0725 7.0725
angles: 90.00 90.00 90.00
With the nearest neighbours (Å) after each atom.
Space group Fm-3m (No. 225)
Unique sites:
U 0.0000 0.0000 0.0000 (multiplicity 4)  8 Au 3.06
Sn 0.0000 0.0000 0.5000 (multiplicity 4)  8 Au 3.06
Au 0.2500 0.2500 0.2500 (multiplicity 8)  4 Sn 3.06, 4 U 3.06


Density functional theory data (meta-GGA r2SCAN) for ZrSiNi after structural relaxation.

Properties
Its spin magnetization is 0.0 μB/cell. The total energy is -15.44 eV per atom. The formation energy from the elements is -90.4 kJ per mole of atoms.

abc: 6.4662 3.7980 7.2535
angles: 90.00 90.00 90.00
With the nearest neighbours (Å) after each atom.
Space group Pnma (No. 62)
Unique sites:
Zr 0.0153 0.2500 0.1868 (multiplicity 4)  5 Si 2.72-2.75, 4 Ni 2.82-3.02
Si 0.2256 0.7500 0.3880 (multiplicity 4)  4 Ni 2.34-2.53
Ni 0.1394 0.2500 0.5611 (multiplicity 4)  4 Si 2.34-2.53


Density functional theory data (meta-GGA r2SCAN) for RbScO2 after structural relaxation.

Properties
Its spin magnetization is 0.0 μB/cell. The total energy is -12.26 eV per atom. The formation energy from the elements is -283.5 kJ per mole of atoms.

abc: 3.2576 3.2576 12.8031
angles: 90.00 90.00 120.00
With the nearest neighbours (Å) after each atom.
Space group P6_3/mmc (No. 194)
Unique sites:
Rb 0.3333 0.6667 0.2500 (multiplicity 2)  6 O 2.84
Sc 0.0000 0.0000 0.0000 (multiplicity 2)  6 O 2.17
O 0.3333 0.6667 0.5842 (multiplicity 4)  3 Sc 2.17


Density functional theory data (meta-GGA r2SCAN) for Zr3BiF15 after structural relaxation.

Properties
Its spin magnetization is 0.0 μB/cell. The total energy is -12.86 eV per atom. The formation energy from the elements is -358.6 kJ per mole of atoms.

abc: 10.5524 12.4423 8.1555
angles: 90.00 105.93 90.00
With the nearest neighbours (Å) after each atom.
Space group C2/c (No. 15)
Unique sites:
Zr 0.0000 0.2444 0.2500 (multiplicity 4)  6 F 1.99-2.05
Zr 0.2097 0.4686 0.8251 (multiplicity 8)  7 F 2.03-2.22
Bi 0.0000 0.1784 0.7500 (multiplicity 4)  8 F 2.29-2.36
F 0.0000 0.4672 0.7500 (multiplicity 4)  2 Zr 2.13
F 0.0274 0.2595 0.5005 (multiplicity 8)  1 Zr 1.99
F 0.1306 0.0650 0.6412 (multiplicity 8)  1 Zr 2.03
F 0.1384 0.3638 0.2763 (multiplicity 8)  2 Zr 2.05-2.22
F 0.1394 0.1298 0.2768 (multiplicity 8)  1 Zr 2.02
F 0.1532 0.1001 0.9730 (multiplicity 8)  1 Zr 2.06, 1 Bi 2.29
F 0.1574 0.3113 0.8181 (multiplicity 8)  1 Zr 2.03
F 0.1647 0.4828 0.5546 (multiplicity 8)  2 Zr 2.13-2.14


Density functional theory data (meta-GGA r2SCAN) for Pr2MgCu2 after structural relaxation.

Properties
Its spin magnetization is 0.0 μB/cell. The total energy is -17.10 eV per atom. The formation energy from the elements is -15.8 kJ per mole of atoms.

abc: 7.8564 7.8564 3.8374
angles: 90.00 90.00 90.00
With the nearest neighbours (Å) after each atom.
Space group P4/mbm (No. 127)
Unique sites:
Pr 0.1707 0.3293 0.0000 (multiplicity 4)  6 Cu 3.01
Mg 0.0000 0.0000 0.5000 (multiplicity 2)  4 Cu 3.13, 8 Pr 3.49
Cu 0.1208 0.6208 0.5000 (multiplicity 4)  1 Cu 2.68


Density functional theory data (meta-GGA r2SCAN) for CeScS3 after structural relaxation.

Properties
Its spin magnetization is 4.0 μB/cell. The total energy is -15.58 eV per atom. The formation energy from the elements is -223.4 kJ per mole of atoms.

abc: 7.1896 9.5940 6.5267
angles: 90.00 90.00 90.00
With the nearest neighbours (Å) after each atom.
Space group Pnma (No. 62)
Unique sites:
Ce 0.0971 0.2500 0.0346 (multiplicity 4)  6 S 2.83-3.03
Sc 0.0000 0.0000 0.5000 (multiplicity 4)  6 S 2.55-2.60
S 0.0363 0.7500 0.3751 (multiplicity 4)  2 Sc 2.55, 2 Ce 2.83-2.84
S 0.1878 0.5607 0.8213 (multiplicity 8)  2 Sc 2.56-2.60


Density functional theory data (meta-GGA r2SCAN) for CaGa3Pt after structural relaxation.

Properties
Its spin magnetization is 0.0 μB/cell. The total energy is -19.30 eV per atom. The formation energy from the elements is -70.2 kJ per mole of atoms.

abc: 4.2223 4.2223 10.8412
angles: 90.00 90.00 90.00
With the nearest neighbours (Å) after each atom.
Space group I4mm (No. 107)
Unique sites:
Ca 0.0000 0.0000 0.0000 (multiplicity 2)  12 Ga 3.20-3.45, 4 Pt 3.26
Ga 0.0000 0.0000 0.6058 (multiplicity 2)  1 Pt 2.46, 4 Ga 2.64
Ga 0.0000 0.5000 0.2522 (multiplicity 4)  2 Pt 2.52, 2 Ga 2.64
Pt 0.0000 0.0000 0.3790 (multiplicity 2)  5 Ga 2.46-2.52


Density functional theory data (meta-GGA r2SCAN) for TiCrCuS4 after structural relaxation.

Properties
Its spin magnetization is 6.0 μB/cell. The total energy is -11.19 eV per atom. The formation energy from the elements is -101.1 kJ per mole of atoms.

abc: 12.8982 3.4609 5.9356
angles: 90.00 117.25 90.00
With the nearest neighbours (Å) after each atom.
Space group Cm (No. 8)
Unique sites:
Ti 0.0000 0.0000 0.0000 (multiplicity 2)  6 S 2.37-2.49
Cr 0.4882 0.0000 0.5227 (multiplicity 2)  6 S 2.40-2.43
Cu 0.2456 0.5000 0.7677 (multiplicity 2)  6 S 2.40-2.52
S 0.1080 0.0000 0.4722 (multiplicity 2)  2 Cr 2.43, 1 Ti 2.49, 2 Cu 2.52
S 0.1222 0.5000 0.9736 (multiplicity 2)  2 Ti 2.39, 1 Cu 2.41, 1 Cr 2.43
S 0.3680 0.5000 0.5605 (multiplicity 2)  1 Ti 2.37, 2 Cr 2.40, 1 Cu 2.40
S 0.3784 0.0000 0.0682 (multiplicity 2)  1 Cr 2.40, 2 Ti 2.49, 2 Cu 2.51


Density functional theory data (meta-GGA r2SCAN) for Li2UO4 after structural relaxation.

Properties
Its spin magnetization is 0.0 μB/cell. The total energy is -18.49 eV per atom. The formation energy from the elements is -287.5 kJ per mole of atoms.

abc: 10.4982 6.0447 5.0954
angles: 90.00 90.00 90.00
With the nearest neighbours (Å) after each atom.
Space group Pnma (No. 62)
Unique sites:
Li 0.0000 0.0000 0.0000 (multiplicity 4)  6 O 2.07-2.26
Li 0.0743 0.2500 0.4575 (multiplicity 4)  4 O 1.88-1.97
U 0.2378 0.7500 0.5126 (multiplicity 4)  2 O 1.92-1.94
O 0.0859 0.7500 0.7224 (multiplicity 4)  1 Li 1.92, 1 U 1.92
O 0.1025 0.2500 0.8220 (multiplicity 4)  3 Li 1.88-2.07, 1 U 1.94
O 0.1639 0.0143 0.2667 (multiplicity 8)  2 Li 1.97-2.19, 2 U 2.17-2.18


Density functional theory data (meta-GGA r2SCAN) for Mg2SiS4 after structural relaxation.

Properties
Its spin magnetization is 0.0 μB/cell. The total energy is -8.35 eV per atom. The formation energy from the elements is -126.7 kJ per mole of atoms.

abc: 12.7074 7.4328 5.9278
angles: 90.00 90.00 90.00
With the nearest neighbours (Å) after each atom.
Space group Pnma (No. 62)
Unique sites:
Mg 0.0000 0.0000 0.0000 (multiplicity 4)  6 S 2.56-2.62
Mg 0.2315 0.2500 0.4922 (multiplicity 4)  6 S 2.57-2.63
Si 0.0894 0.7500 0.4061 (multiplicity 4)  4 S 2.10-2.14
S 0.0651 0.2500 0.7384 (multiplicity 4)  1 Si 2.14
S 0.0923 0.7500 0.7608 (multiplicity 4)  1 Si 2.10
S 0.1661 0.5244 0.2537 (multiplicity 8)  1 Si 2.14


Density functional theory data (meta-GGA r2SCAN) for LaCo13 after structural relaxation.

Properties
Its spin magnetization is 177.9 μB/cell. The total energy is -14.43 eV per atom. The formation energy from the elements is -1.8 kJ per mole of atoms.

abc: 11.2049 11.2049 11.2049
angles: 90.00 90.00 90.00
With the nearest neighbours (Å) after each atom.
Space group Fm-3c (No. 226)
Unique sites:
La 0.2500 0.2500 0.2500 (multiplicity 8)  24 Co 3.27
Co 0.0000 0.0000 0.0000 (multiplicity 8)  12 Co 2.40
Co 0.0000 0.1183 0.1781 (multiplicity 96)  10 Co 2.38-2.65


Density functional theory data (meta-GGA r2SCAN) for La3AuI3 after structural relaxation.

Properties
Its spin magnetization is 6.7 μB/cell. The total energy is -31.87 eV per atom. The formation energy from the elements is -132.5 kJ per mole of atoms.

abc: 18.1552 12.8370 12.8386
angles: 90.00 134.99 90.00
With the nearest neighbours (Å) after each atom.
Space group C2 (No. 5)
Unique sites:
La 0.1094 0.0000 0.0002 (multiplicity 4)  2 Au 3.01, 2 I 3.35
La 0.1091 0.2500 0.7180 (multiplicity 4)  2 Au 3.02, 2 I 3.35
La 0.1249 0.0159 0.4841 (multiplicity 4)  2 Au 3.01, 2 I 3.34-3.35
La 0.1250 0.2341 0.2658 (multiplicity 4)  2 Au 3.01, 2 I 3.35
La 0.1410 0.4840 0.5158 (multiplicity 4)  2 Au 3.01-3.02, 2 I 3.35
La 0.1408 0.7660 0.2658 (multiplicity 4)  2 Au 3.01, 2 I 3.35
Au 0.1245 0.0002 0.2496 (multiplicity 4)  6 La 3.01-3.02
Au 0.1253 0.2499 0.4999 (multiplicity 4)  6 La 3.01-3.02
I 0.1160 0.5000 0.2319 (multiplicity 4)  4 La 3.35-3.43
I 0.1161 0.7500 0.5001 (multiplicity 4)  4 La 3.35-3.43
I 0.1249 0.5091 0.7589 (multiplicity 4)  4 La 3.35-3.43
I 0.1251 0.7410 0.9911 (multiplicity 4)  4 La 3.35-3.43
I 0.1339 0.2590 0.0087 (multiplicity 4)  4 La 3.35-3.43
I 0.1339 0.9910 0.7589 (multiplicity 4)  4 La 3.34-3.43


Density functional theory data (meta-GGA r2SCAN) for NaW9O27 after structural relaxation.

Properties
Its spin magnetization is 0.0 μB/cell. The total energy is -19.23 eV per atom. The formation energy from the elements is -220.1 kJ per mole of atoms.

abc: 9.3422 9.3422 19.8141
angles: 90.00 90.00 120.00
With the nearest neighbours (Å) after each atom.
Space group R-3 (No. 148, hexagonal axes)
Unique sites:
Na 0.0000 0.0000 0.0000 (multiplicity 3)  12 O 2.66-2.67
W 0.0000 0.0000 0.1682 (multiplicity 6)  6 O 1.89-1.93
W 0.0000 0.0000 0.5000 (multiplicity 3)  6 O 1.90
W 0.9998 0.3312 0.6107 (multiplicity 18)  6 O 1.89-1.93
O 0.9997 0.1646 0.8903 (multiplicity 18)  2 W 1.91-1.93
O 0.9997 0.1668 0.2220 (multiplicity 18)  2 W 1.89-1.91
O 0.0000 0.5000 0.0000 (multiplicity 9)  2 W 1.90
O 0.0007 0.1668 0.5555 (multiplicity 18)  2 W 1.89-1.90
O 0.0034 0.5018 0.6665 (multiplicity 18)  2 W 1.91-1.93